# V6O13, optimized geometry, DFT PBE with a Hubbard U
data_V6O13
_cell_length_a 12.171
_cell_length_b 3.742
_cell_length_c 10.293
_cell_angle_alpha 90.00
_cell_angle_beta 100.93
_cell_angle_gamma 90.00
_symmetry_space_group_name_H-M 'C 1 m 1'
_symmetry_Int_Tables_number 8
loop_
_symmetry_equiv_pos_as_xyz
'x,y,z'
'x,-y,z'
'x+1/2,y+1/2,z'
'x+1/2,-y+1/2,z'
loop_
_atom_site_label
_atom_site_type_symbol
_atom_site_fract_x
_atom_site_fract_y
_atom_site_fract_z
V1 V 0.000 0.000 0.000
V2 V 0.058 0.000 0.365
V3 V 0.232 0.000 0.638
V4 V 0.298 0.000 0.003
V5 V 0.358 0.000 0.366
V6 V 0.431 0.500 0.636
O1 O 0.025 0.500 0.386
O2 O 0.029 0.000 0.199
O3 O 0.085 0.000 0.592
O4 O 0.140 0.000 0.002
O5 O 0.205 0.000 0.409
O6 O 0.257 0.000 0.803
O7 O 0.265 0.500 0.617
O8 O 0.321 0.000 0.199
O9 O 0.323 0.500 0.001
O10 O 0.391 0.000 0.591
O11 O 0.398 0.500 0.412
O12 O 0.462 0.000 0.001
O13 O 0.467 0.500 0.804
# spin magnetization = 2.02 Bohr magnetons per cell
# distance to the lowest polymorph of the same formula = 39 meV/atom
# uncorrected energy = -7.6017 eV per atom
# formation enthalpy at 0 K = -2355 meV/atom